# Sn2Rh3S2 (PBE-GGA, optimized geometry)
data_Sn2Rh3S2
_space_group_name_H-M_alt 'R -3 m'
_space_group_IT_number 166
_space_group_name_Hall '-R 3 2"'
_cell_length_a 5.7250
_cell_length_b 5.7250
_cell_length_c 13.5000
_cell_angle_alpha 90.00
_cell_angle_beta 90.00
_cell_angle_gamma 120.00
loop_
_atom_site_label
_atom_site_type_symbol
_atom_site_fract_x
_atom_site_fract_y
_atom_site_fract_z
Sn1 Sn 0.0000 0.0000 0.0000
Sn2 Sn 0.0000 0.0000 0.5000
Rh1 Rh 0.0000 0.5000 0.0000
S1 S 0.0000 0.0000 0.2120
# final energy	-125.480	eV for the cell shown
# ΔE_f	-0.64	eV/atom
# V	18.2	A^3/atom